(1)
Computed, not measured: an optimized crystal structure of MgTi2Mn2O6 at the PBE with a Hubbard U level of DFT.

Energy of formation from the pure elements in kcal/mol of atoms: -61.54
Raw total energy in eV for the cell shown: -87.30
Total moment in μB/f.u.: 8.0
Theoretical density in g/cm3: 4.4
Space-group type: No. 146
Crystal system: trigonal
Excess energy over the best structure of this formula in the dataset in meV per atom: 34

a = 5.895 Å, b = 5.895 Å, c = 5.895 Å
α = 53.17°, β = 53.17°, γ = 53.17°
Positions (direct):
1 Mg 0.000 0.000 0.000
2 Ti 0.191 0.191 0.191
3 Ti 0.537 0.537 0.537
4 Mn 0.362 0.362 0.362
5 Mn 0.728 0.728 0.728
6 O 0.144 0.406 0.792
7 O 0.298 0.935 0.595
8 O 0.406 0.792 0.144
9 O 0.595 0.298 0.935
10 O 0.792 0.144 0.406
11 O 0.935 0.595 0.298

***

(2)
Computed, not measured: an optimized crystal structure of AlSbW2O8 at the PBE with a Hubbard U level of DFT.

Energy of formation from the pure elements in kcal/mol of atoms: -49.86
Raw total energy in eV for the cell shown: -84.95
Total moment in μB/f.u.: 2.0
Theoretical density in g/cm3: 7.4
Space-group type: No. 1
Crystal system: triclinic
Excess energy over the best structure of this formula in the dataset in meV per atom: 0

a = 5.080 Å, b = 5.390 Å, c = 6.191 Å
α = 113.20°, β = 105.99°, γ = 97.89°
Positions (direct):
1 Al 0.000 0.000 0.000
2 Sb 0.424 0.469 0.904
3 W 0.257 0.782 0.481
4 W 0.692 0.370 0.424
5 O 0.110 0.515 0.639
6 O 0.170 0.057 0.787
7 O 0.198 0.842 0.174
8 O 0.286 0.389 0.254
9 O 0.548 0.173 0.617
10 O 0.655 0.721 0.712
11 O 0.748 0.097 0.160
12 O 0.835 0.652 0.322

***

(3)
Computed, not measured: an optimized crystal structure of Mn8Cu7O20 at the PBE with a Hubbard U level of DFT.

Energy of formation from the pure elements in kcal/mol of atoms: -34.39
Raw total energy in eV for the cell shown: -452.12
Total moment in μB/f.u.: 25.0
Theoretical density in g/cm3: 5.5
Space-group type: No. 1
Crystal system: triclinic

a = 5.818 Å, b = 5.909 Å, c = 24.340 Å
α = 88.31°, β = 83.79°, γ = 61.88°
Positions (direct):
1 Mn 0.000 0.000 0.000
2 Mn 0.000 0.500 0.000
3 Mn 0.041 0.255 0.678
4 Mn 0.100 0.698 0.099
5 Mn 0.199 0.896 0.198
6 Mn 0.200 0.397 0.198
7 Mn 0.302 0.088 0.301
8 Mn 0.396 0.802 0.400
9 Mn 0.498 0.502 0.502
10 Mn 0.597 0.211 0.600
11 Mn 0.643 0.434 0.279
12 Mn 0.696 0.912 0.702
13 Mn 0.798 0.607 0.802
14 Mn 0.799 0.102 0.802
15 Mn 0.840 0.849 0.479
16 Mn 0.900 0.302 0.901
17 Cu 0.099 0.707 0.601
18 Cu 0.156 0.155 0.522
19 Cu 0.246 0.639 0.877
20 Cu 0.299 0.105 0.802
21 Cu 0.357 0.569 0.723
22 Cu 0.395 0.301 0.400
23 Cu 0.446 0.036 0.076
24 Cu 0.500 0.500 0.000
25 Cu 0.553 0.964 0.925
26 Cu 0.599 0.706 0.601
27 Cu 0.698 0.898 0.199
28 Cu 0.754 0.361 0.122
29 Cu 0.898 0.299 0.401
30 Cu 0.956 0.747 0.322
31 O 0.025 0.724 0.239
32 O 0.029 0.222 0.245
33 O 0.056 0.464 0.852
34 O 0.069 0.000 0.851
35 O 0.125 0.384 0.346
36 O 0.142 0.925 0.347
37 O 0.169 0.174 0.954
38 O 0.178 0.671 0.960
39 O 0.217 0.661 0.452
40 O 0.218 0.120 0.439
41 O 0.255 0.862 0.052
42 O 0.268 0.398 0.050
43 O 0.328 0.796 0.549
44 O 0.339 0.335 0.549
45 O 0.369 0.570 0.152
46 O 0.377 0.069 0.159
47 O 0.417 0.527 0.641
48 O 0.420 0.066 0.654
49 O 0.460 0.258 0.251
50 O 0.472 0.784 0.248
51 O 0.532 0.211 0.753
52 O 0.543 0.745 0.750
53 O 0.577 0.933 0.346
54 O 0.585 0.468 0.360
55 O 0.621 0.932 0.842
56 O 0.632 0.429 0.848
57 O 0.664 0.667 0.452
58 O 0.675 0.195 0.452
59 O 0.732 0.602 0.950
60 O 0.744 0.138 0.949
61 O 0.777 0.341 0.549
62 O 0.784 0.876 0.560
63 O 0.822 0.329 0.040
64 O 0.831 0.826 0.046
65 O 0.864 0.073 0.653
66 O 0.877 0.609 0.655
67 O 0.930 0.999 0.149
68 O 0.945 0.534 0.148
69 O 0.970 0.780 0.756
70 O 0.978 0.275 0.760

***

- Among the records above, which one has the lowest energy of formation from the pure elements?
  MgTi2Mn2O6